(1)
A plane-wave DFT calculation with PBE with a Hubbard U was carried out for a relaxed LiNiPO4 crystal.

Structure (POSCAR):
```
LiNiPO4
1.0
9.643 0.000 0.000
-4.822 8.351 0.000
0.000 0.000 22.667
Li Ni P O
24 24 24 96
Direct
0.092 0.759 0.157
0.101 0.817 0.515
0.130 0.759 0.833
0.183 0.284 0.848
0.241 0.333 0.490
0.241 0.371 0.167
0.284 0.101 0.682
0.308 0.665 0.991
0.333 0.092 0.323
0.335 0.642 0.325
0.358 0.692 0.658
0.371 0.130 0.000
0.629 0.870 0.500
0.642 0.308 0.158
0.665 0.358 0.825
0.667 0.908 0.823
0.692 0.335 0.491
0.716 0.899 0.182
0.759 0.629 0.667
0.759 0.667 0.990
0.817 0.716 0.348
0.870 0.241 0.333
0.899 0.183 0.015
0.908 0.241 0.657
0.007 0.977 0.451
0.021 0.566 0.283
0.023 0.030 0.784
0.030 0.007 0.618
0.051 0.463 0.430
0.058 0.498 0.089
0.412 0.949 0.096
0.434 0.455 0.616
0.440 0.942 0.755
0.455 0.021 0.449
0.463 0.412 0.263
0.498 0.440 0.922
0.502 0.560 0.422
0.537 0.588 0.763
0.545 0.979 0.949
0.560 0.058 0.255
0.566 0.545 0.116
0.588 0.051 0.596
0.942 0.502 0.589
0.949 0.537 0.930
0.970 0.993 0.118
0.977 0.970 0.284
0.979 0.434 0.783
0.993 0.023 0.951
0.082 0.754 0.706
0.090 0.792 0.025
0.140 0.793 0.375
0.207 0.346 0.708
0.208 0.298 0.359
0.246 0.328 0.039
0.288 0.651 0.529
0.298 0.090 0.192
0.328 0.082 0.873
0.346 0.140 0.542
0.349 0.637 0.863
0.363 0.712 0.196
0.637 0.288 0.696
0.651 0.363 0.363
0.654 0.860 0.042
0.672 0.918 0.373
0.702 0.910 0.692
0.712 0.349 0.029
0.754 0.672 0.539
0.792 0.702 0.859
0.793 0.654 0.208
0.860 0.207 0.875
0.910 0.208 0.525
0.918 0.246 0.206
0.012 0.679 0.079
0.014 0.656 0.763
0.025 0.338 0.152
0.027 0.155 0.501
0.037 0.790 0.428
0.050 0.795 0.318
0.057 0.301 0.379
0.069 0.384 0.710
0.079 0.917 0.711
0.083 0.161 0.045
0.122 0.694 0.979
0.126 0.646 0.538
0.127 0.973 0.168
0.145 0.633 0.370
0.155 0.127 0.334
0.161 0.079 0.878
0.172 0.588 0.849
0.203 0.463 0.031
0.205 0.256 0.651
0.210 0.246 0.761
0.244 0.943 0.045
0.246 0.037 0.595
0.255 0.669 0.251
0.256 0.050 0.484
0.260 0.797 0.698
0.268 0.543 0.474
0.275 0.732 0.141
0.301 0.244 0.212
0.306 0.428 0.312
0.313 0.975 0.819
0.315 0.931 0.377
0.321 0.333 0.412
0.331 0.586 0.584
0.333 0.012 0.245
0.338 0.313 0.986
0.344 0.358 0.096
0.354 0.480 0.872
0.358 0.014 0.929
0.367 0.512 0.704
0.384 0.315 0.544
0.412 0.585 0.182
0.414 0.745 0.917
0.415 0.828 0.516
0.428 0.122 0.145
0.457 0.725 0.808
0.463 0.260 0.865
0.480 0.126 0.705
0.488 0.855 0.037
0.512 0.145 0.537
0.520 0.874 0.205
0.537 0.740 0.365
0.543 0.275 0.308
0.572 0.878 0.645
0.585 0.172 0.016
0.586 0.255 0.417
0.588 0.415 0.682
0.616 0.685 0.044
0.633 0.488 0.204
0.642 0.986 0.429
0.646 0.520 0.372
0.656 0.642 0.596
0.662 0.687 0.486
0.667 0.988 0.745
0.669 0.414 0.084
0.679 0.667 0.912
0.685 0.069 0.877
0.687 0.025 0.319
0.694 0.572 0.812
0.699 0.756 0.712
0.725 0.268 0.641
0.732 0.457 0.974
0.740 0.203 0.198
0.744 0.950 0.984
0.745 0.331 0.751
0.754 0.963 0.095
0.756 0.057 0.545
0.790 0.754 0.261
0.795 0.744 0.151
0.797 0.537 0.531
0.828 0.412 0.349
0.839 0.921 0.378
0.845 0.873 0.834
0.855 0.367 0.870
0.873 0.027 0.668
0.874 0.354 0.038
0.878 0.306 0.479
0.917 0.839 0.545
0.921 0.083 0.211
0.931 0.616 0.210
0.943 0.699 0.879
0.950 0.205 0.818
0.963 0.210 0.928
0.973 0.845 0.001
0.975 0.662 0.652
0.986 0.344 0.263
0.988 0.321 0.579
```

Values from the calculation:
- Calculated total energy: -1041.00 eV for the cell shown
- DFT formation energy: -2.25 eV/atom

=====

(2)
A plane-wave DFT calculation with PBE with a Hubbard U was carried out for a relaxed LiNiPO4 crystal.

Structure (POSCAR):
```
LiNiPO4
1.0
4.833 0.000 0.000
0.000 6.397 0.000
0.000 0.000 9.863
Li Ni P O
4 4 4 16
Direct
0.069 0.228 0.169
0.431 0.772 0.669
0.569 0.272 0.831
0.931 0.728 0.331
0.018 0.542 0.979
0.482 0.458 0.479
0.518 0.958 0.021
0.982 0.042 0.521
0.087 0.998 0.846
0.413 0.002 0.346
0.587 0.502 0.154
0.913 0.498 0.654
0.180 0.000 0.696
0.219 0.797 0.912
0.230 0.505 0.642
0.234 0.179 0.924
0.266 0.821 0.424
0.270 0.495 0.142
0.281 0.203 0.412
0.320 0.000 0.196
0.680 0.500 0.304
0.719 0.703 0.088
0.730 0.995 0.358
0.734 0.321 0.076
0.766 0.679 0.576
0.770 0.005 0.858
0.781 0.297 0.588
0.820 0.500 0.804
```

Values from the calculation:
- Calculated total energy: -175.40 eV for the cell shown
- DFT formation energy: -2.32 eV/atom

=====

(3)
A plane-wave DFT calculation with PBE with a Hubbard U was carried out for a relaxed LiNiPO4 crystal.

Structure (POSCAR):
```
LiNiPO4
1.0
9.887 0.000 0.000
-4.944 8.563 0.000
0.000 0.000 23.361
Li Ni P O
24 24 24 96
Direct
0.020 0.041 0.001
0.022 0.980 0.668
0.028 0.574 0.009
0.041 0.022 0.834
0.044 0.481 0.821
0.054 0.461 0.167
0.407 0.946 0.833
0.426 0.454 0.342
0.437 0.956 0.488
0.454 0.028 0.175
0.461 0.407 0.000
0.481 0.437 0.654
0.519 0.563 0.154
0.539 0.593 0.500
0.546 0.972 0.675
0.563 0.044 0.988
0.574 0.546 0.842
0.593 0.054 0.333
0.946 0.539 0.667
0.956 0.519 0.321
0.959 0.978 0.334
0.972 0.426 0.509
0.978 0.020 0.168
0.980 0.959 0.501
0.088 0.762 0.895
0.110 0.826 0.243
0.127 0.759 0.568
0.174 0.284 0.577
0.238 0.326 0.228
0.241 0.368 0.901
0.284 0.110 0.410
0.315 0.665 0.727
0.326 0.088 0.061
0.335 0.650 0.061
0.350 0.685 0.394
0.368 0.127 0.735
0.632 0.873 0.235
0.650 0.315 0.894
0.665 0.350 0.561
0.674 0.912 0.561
0.685 0.335 0.227
0.716 0.890 0.910
0.759 0.632 0.401
0.762 0.674 0.728
0.826 0.716 0.077
0.873 0.241 0.068
0.890 0.174 0.743
0.912 0.238 0.395
0.085 0.758 0.438
0.095 0.787 0.763
0.133 0.770 0.111
0.213 0.308 0.096
0.230 0.362 0.444
0.242 0.327 0.772
0.284 0.645 0.265
0.308 0.095 0.929
0.327 0.085 0.605
0.355 0.639 0.599
0.361 0.716 0.932
0.362 0.133 0.277
0.638 0.867 0.777
0.639 0.284 0.432
0.645 0.361 0.099
0.673 0.915 0.105
0.692 0.905 0.429
0.716 0.355 0.765
0.758 0.673 0.272
0.770 0.638 0.944
0.787 0.692 0.596
0.867 0.230 0.611
0.905 0.213 0.263
0.915 0.242 0.938
0.016 0.162 0.234
0.017 0.673 0.496
0.017 0.688 0.817
0.028 0.344 0.889
0.035 0.760 0.164
0.042 0.776 0.057
0.060 0.304 0.115
0.079 0.173 0.774
0.083 0.381 0.445
0.093 0.921 0.440
0.127 0.687 0.720
0.136 0.658 0.278
0.146 0.984 0.901
0.153 0.625 0.105
0.162 0.146 0.067
0.173 0.093 0.607
0.190 0.605 0.581
0.208 0.463 0.764
0.224 0.267 0.390
0.240 0.275 0.497
0.244 0.940 0.782
0.248 0.527 0.216
0.254 0.792 0.430
0.255 0.670 0.986
0.267 0.042 0.224
0.275 0.035 0.330
0.278 0.752 0.883
0.299 0.917 0.112
0.304 0.244 0.948
0.312 0.329 0.150
0.313 0.440 0.053
0.316 0.972 0.556
0.327 0.344 0.829
0.329 0.017 0.983
0.330 0.585 0.319
0.342 0.479 0.611
0.344 0.017 0.662
0.344 0.316 0.723
0.375 0.528 0.439
0.381 0.299 0.279
0.395 0.585 0.914
0.415 0.745 0.653
0.415 0.810 0.248
0.440 0.127 0.887
0.463 0.254 0.597
0.472 0.847 0.772
0.473 0.722 0.549
0.479 0.136 0.444
0.521 0.864 0.944
0.527 0.278 0.049
0.528 0.153 0.272
0.537 0.746 0.097
0.560 0.873 0.387
0.585 0.190 0.748
0.585 0.255 0.153
0.605 0.415 0.414
0.619 0.701 0.779
0.625 0.472 0.939
0.656 0.684 0.223
0.656 0.983 0.162
0.658 0.521 0.111
0.670 0.415 0.819
0.671 0.983 0.483
0.673 0.656 0.329
0.684 0.028 0.056
0.687 0.560 0.553
0.688 0.671 0.650
0.696 0.756 0.448
0.701 0.083 0.612
0.722 0.248 0.383
0.725 0.965 0.830
0.733 0.958 0.724
0.745 0.330 0.486
0.746 0.208 0.930
0.752 0.473 0.716
0.756 0.060 0.282
0.760 0.725 0.997
0.776 0.733 0.890
0.792 0.537 0.264
0.810 0.395 0.081
0.827 0.907 0.107
0.838 0.854 0.567
0.847 0.375 0.605
0.854 0.016 0.401
0.864 0.342 0.778
0.873 0.313 0.220
0.907 0.079 0.940
0.917 0.619 0.945
0.921 0.827 0.274
0.940 0.696 0.615
0.958 0.224 0.557
0.965 0.240 0.664
0.972 0.656 0.389
0.983 0.312 0.317
0.983 0.327 0.996
0.984 0.838 0.734
```

Values from the calculation:
- Calculated total energy: -1039.65 eV for the cell shown
- DFT formation energy: -2.24 eV/atom

=====

Q: Which of these has the lowest DFT formation energy?
A: number 2

=====

Q: Which of these has the lowest DFT formation energy?
A: number 2

=====

Q: The lowest DFT formation energy belongs to which entry?
A: number 2